Record 1
Compound: Li9Mn2Co5O16
Source: Materials Project
Functional: PBE+U
Structure: relaxed

Calculated values
**Formation energy from the elements**: -5308 kJ/mol of formula units
**Space group**: P-1
**Distance to the lowest polymorph of the same formula**: 0.145 eV/atom
**Volume**: 282 Å³ per cell
**Crystal system**: triclinic
**Total energy**: -5.710 eV/atom

a = 4.9733 Å, b = 5.8770 Å, c = 10.1490 Å
α = 105.10°, β = 99.77°, γ = 91.32°
With the nearest neighbours (Å) after each atom.
Fractional coordinates of all 32 atoms:
Li: 0.0000 0.0000 0.0000  6 O 2.05-2.13
Li: 0.2402 0.8728 0.2339  5 O 2.04-2.25
Li: 0.2428 0.3613 0.2347  5 O 2.06-2.24
Li: 0.2464 0.8760 0.7580  4 O 1.97-2.19
Li: 0.2507 0.3811 0.7578  6 O 2.01-2.19
Li: 0.7493 0.6189 0.2422  6 O 2.01-2.19
Li: 0.7536 0.1240 0.2420  4 O 1.97-2.19
Li: 0.7572 0.6387 0.7653  5 O 2.06-2.24
Li: 0.7598 0.1272 0.7661  5 O 2.04-2.25
Mn: 0.5002 0.2504 0.4995  6 O 1.95-2.11
Mn: 0.4998 0.7496 0.5005  6 O 1.95-2.11
Co: 0.0000 0.0000 0.5000  6 O 1.94-1.98
Co: 0.0000 0.5000 0.0000  6 O 1.93-1.95
Co: 0.0000 0.5000 0.5000  6 O 1.94-1.97
Co: 0.4970 0.7559 0.9995  5 O 1.91-2.04
Co: 0.5030 0.2441 0.0005  5 O 1.91-2.04
O: 0.1215 0.2040 0.3911  2 Co 1.97-1.98, 1 Mn 1.99, 2 Li 2.12-2.19
O: 0.1229 0.7058 0.3933  2 Co 1.96-1.97, 1 Mn 1.98, 1 Li 2.16
O: 0.1412 0.6798 0.8871  2 Co 1.91-1.95, 4 Li 2.05-2.13
O: 0.1415 0.2178 0.8941  2 Co 1.91-1.95, 3 Li 2.01-2.08
O: 0.3577 0.5676 0.1153  2 Co 1.93-2.00, 3 Li 2.04-2.11
O: 0.3632 0.0678 0.6129  1 Co 1.94, 2 Mn 1.95-2.11
O: 0.3635 0.5657 0.6125  1 Co 1.94, 2 Mn 1.95-2.10
O: 0.3928 0.0661 0.1195  2 Co 1.93-2.04, 4 Li 1.97-2.09
O: 0.6072 0.9339 0.8805  2 Co 1.93-2.04, 4 Li 1.97-2.09
O: 0.6365 0.4343 0.3875  1 Co 1.94, 2 Mn 1.95-2.10
O: 0.6368 0.9322 0.3871  1 Co 1.94, 2 Mn 1.95-2.11
O: 0.6423 0.4324 0.8847  2 Co 1.93-2.00, 3 Li 2.04-2.11
O: 0.8585 0.7822 0.1059  2 Co 1.91-1.95, 3 Li 2.01-2.08
O: 0.8588 0.3202 0.1129  2 Co 1.91-1.95, 4 Li 2.05-2.13
O: 0.8771 0.2942 0.6067  2 Co 1.96-1.97, 1 Mn 1.98, 1 Li 2.16
O: 0.8785 0.7960 0.6089  2 Co 1.97-1.98, 1 Mn 1.99, 2 Li 2.12-2.19

=====

Record 2
Compound: MgZnFe4O8
Source: Materials Project
Functional: PBE+U
Structure: relaxed

Calculated values
**Formation energy from the elements**: -2369 kJ/mol of formula units
**Space group**: Cm
**Distance to the lowest polymorph of the same formula**: 0.132 eV/atom
**Volume**: 164 Å³ per cell
**Crystal system**: monoclinic
**Total energy**: -6.169 eV/atom

a = 7.6420 Å, b = 7.6420 Å, c = 9.3432 Å
α = 127.57°, β = 127.57°, γ = 22.53°
With the nearest neighbours (Å) after each atom.
Fractional coordinates of all 14 atoms:
Mg: 0.0000 0.0000 0.0000  5 O 2.07-2.08
Zn: 0.6292 0.6292 0.5983  5 O 2.08-2.11
Fe: 0.1744 0.1744 0.9823  4 O 1.94-2.07
Fe: 0.4558 0.4558 0.6180  4 O 1.95-2.07
Fe: 0.6902 0.6902 0.3575  5 O 1.95-2.10
Fe: 0.9394 0.9394 0.2404  5 O 1.95-2.10
O: 0.0939 0.0939 0.7123  3 Fe 2.01-2.24, 2 Zn 2.08
O: 0.1497 0.1497 0.4661  2 Zn 2.08, 2 Fe 2.10
O: 0.1745 0.1745 0.2037  3 Fe 1.98-2.07, 1 Mg 2.07
O: 0.4509 0.4509 0.3918  3 Fe 1.99-2.07, 1 Zn 2.11
O: 0.4775 0.4775 0.1278  2 Mg 2.07, 2 Fe 2.10
O: 0.5360 0.5360 0.8882  3 Fe 2.01-2.24, 2 Mg 2.08
O: 0.7754 0.7754 0.0428  3 Fe 1.94-1.95
O: 0.8540 0.8540 0.5577  3 Fe 1.95

=====

Record 3
Compound: LiVO3
Source: Materials Project
Functional: PBE+U
Structure: relaxed

Calculated values
**Formation energy from the elements**: -1130 kJ/mol of formula units
**Space group**: C2
**Volume**: 108 Å³ per cell
**Crystal system**: monoclinic
**Maximum piezoelectric response**: 1.6 C/m²
**Total energy**: -6.758 eV/atom

a = 4.9503 Å, b = 4.9503 Å, c = 5.3663 Å
α = 102.60°, β = 102.60°, γ = 115.83°
With the nearest neighbours (Å) after each atom.
Fractional coordinates of all 10 atoms:
Li: 0.0000 0.0000 0.0000  4 O 1.99-2.12
Li: 0.6381 0.3619 0.0000  4 O 2.01-2.10
V: 0.1845 0.8155 0.5000  6 O 1.85-1.96
V: 0.8327 0.1673 0.5000  6 O 1.82-1.94
O: 0.0319 0.3980 0.2812  2 V 1.85-1.94
O: 0.1881 0.1634 0.7354  2 V 1.89-1.94, 2 Li 1.99-2.01
O: 0.4239 0.0294 0.2884  2 V 1.82-1.96
O: 0.6020 0.9681 0.7188  2 V 1.85-1.94
O: 0.8366 0.8119 0.2646  2 V 1.89-1.94, 2 Li 1.99-2.01
O: 0.9706 0.5761 0.7116  2 V 1.82-1.96

=====

Record 4
Compound: Li3Mn4CuO8
Source: Materials Project
Functional: PBE+U
Structure: relaxed

Calculated values
**Formation energy from the elements**: -2981 kJ/mol of formula units
**Space group**: C2/m
**Volume**: 157 Å³ per cell
**Crystal system**: monoclinic
**Total energy**: -6.549 eV/atom

a = 5.9935 Å, b = 5.9935 Å, c = 6.1573 Å
α = 120.71°, β = 120.71°, γ = 61.78°
With the nearest neighbours (Å) after each atom.
Fractional coordinates of all 16 atoms:
Li: 0.0000 0.0000 0.0000  6 O 2.13-2.18
Li: 0.0000 0.5000 0.0000  4 O 2.10-2.17
Li: 0.5000 0.0000 0.0000  4 O 2.10-2.17
Mn: 0.0000 0.0000 0.5000  6 O 2.11-2.17
Mn: 0.0000 0.5000 0.5000  4 O 1.96-2.00
Mn: 0.5000 0.0000 0.5000  4 O 1.96-2.00
Mn: 0.5000 0.5000 0.0000  6 O 2.03-2.19
Cu: 0.5000 0.5000 0.5000  2 O 1.99
O: 0.2301 0.7441 0.7425  3 Mn 1.96-2.19, 2 Li 2.13-2.17
O: 0.2545 0.2545 0.7734  4 Mn 2.03-2.26, 2 Li 2.10
O: 0.2559 0.7699 0.2575  3 Mn 1.96-2.19, 2 Li 2.13-2.17
O: 0.2611 0.2611 0.3036  1 Cu 1.99, 2 Mn 2.00, 1 Li 2.18
O: 0.7389 0.7389 0.6964  1 Cu 1.99, 2 Mn 2.00, 1 Li 2.18
O: 0.7441 0.2301 0.7425  3 Mn 1.96-2.19, 2 Li 2.13-2.17
O: 0.7455 0.7455 0.2266  4 Mn 2.03-2.26, 2 Li 2.10
O: 0.7699 0.2559 0.2575  3 Mn 1.96-2.19, 2 Li 2.13-2.17

=====

Record 5
Compound: V4Bi23O44
Source: Materials Project
Functional: PBE+U
Structure: relaxed

Calculated values
**Formation energy from the elements**: -10800 kJ/mol of formula units
**Space group**: P1
**Distance to the lowest polymorph of the same formula**: 0.000 eV/atom
**Volume**: 1215 Å³ per cell
**Crystal system**: triclinic
**Total energy**: -6.031 eV/atom

a = 11.8010 Å, b = 11.8773 Å, c = 11.9746 Å
α = 60.78°, β = 60.66°, γ = 61.71°
With the nearest neighbours (Å) after each atom.
Fractional coordinates of all 71 atoms:
V: 0.0000 0.0000 0.0000  5 O 1.92-2.14
V: 0.0186 0.7072 0.3073  4 O 1.69-1.82
V: 0.2905 0.0579 0.3253  4 O 1.73-1.79
V: 0.6521 0.6966 0.9600  4 O 1.74-1.76
Bi: 0.2665 0.3867 0.0099  4 O 2.25-2.38
Bi: 0.2830 0.0439 0.9657  3 O 2.14-2.23
Bi: 0.3072 0.3733 0.2950  4 O 2.23-2.40
Bi: 0.3077 0.6824 0.3376  3 O 2.11-2.30
Bi: 0.3089 0.7101 0.9807  4 O 2.20-2.45
Bi: 0.3117 0.6918 0.6830  4 O 2.22-2.44
Bi: 0.3168 0.0210 0.6437  5 O 2.22-2.45
Bi: 0.3526 0.3591 0.6370  3 O 2.17-2.38
Bi: 0.6036 0.7077 0.3113  3 O 2.09-2.20
Bi: 0.6306 0.0204 0.3317  6 O 2.22-2.48
Bi: 0.6355 0.3624 0.9999  3 O 2.21-2.32
Bi: 0.6443 0.0288 0.6401  5 O 2.24-2.45
Bi: 0.6455 0.6888 0.6349  3 O 2.17-2.24
Bi: 0.6479 0.3280 0.7054  5 O 2.22-2.43
Bi: 0.6627 0.3216 0.3161  5 O 2.26-2.54
Bi: 0.6854 0.0128 0.9809  3 O 2.21
Bi: 0.9465 0.3758 0.3601  4 O 2.22-2.39
Bi: 0.9702 0.0431 0.3376  3 O 2.13-2.18
Bi: 0.9728 0.6968 0.9959  3 O 2.13-2.25
Bi: 0.9792 0.0199 0.6617  3 O 2.25-2.51
Bi: 0.9850 0.6959 0.6568  3 O 2.19-2.35
Bi: 0.9889 0.3476 0.6697  2 O 2.15-2.33
Bi: 0.9902 0.3496 0.9838  4 O 2.20-2.35
O: 0.0007 0.7688 0.7831  2 Bi 2.16-2.19
O: 0.0229 0.8197 0.1388  2 V 1.79-1.96
O: 0.0388 0.4598 0.7636  2 Bi 2.20-2.35
O: 0.0434 0.4888 0.0154  3 Bi 2.13-2.30
O: 0.0679 0.1264 0.9864  1 V 1.92
O: 0.1146 0.1249 0.4091  1 V 1.77
O: 0.1499 0.4271 0.2085  3 Bi 2.24-2.34
O: 0.1955 0.6034 0.2922  1 V 1.82
O: 0.1967 0.2465 0.5688  2 Bi 2.15-2.30
O: 0.2014 0.6509 0.9166  3 Bi 2.24-2.34
O: 0.2033 0.9109 0.6513  3 Bi 2.22-2.30
O: 0.2078 0.2524 0.9729  3 Bi 2.22-2.29
O: 0.2094 0.6590 0.5481  2 Bi 2.13-2.23
O: 0.2143 0.9352 0.8906  1 V 2.14, 1 Bi 2.26
O: 0.3110 0.9218 0.2925  1 V 1.73
O: 0.3457 0.1813 0.1745  1 V 1.73
O: 0.3974 0.0203 0.4127  1 V 1.79
O: 0.4019 0.1155 0.7562  1 Bi 2.14
O: 0.4057 0.4300 0.7356  1 Bi 2.17
O: 0.4141 0.4657 0.0746  3 Bi 2.21-2.45
O: 0.4234 0.4757 0.3982  1 Bi 2.11
O: 0.4340 0.7234 0.7682  3 Bi 2.17-2.36
O: 0.4746 0.7658 0.0089  1 V 1.74
O: 0.5357 0.2438 0.2779  3 Bi 2.22-2.39
O: 0.5453 0.6798 0.5262  3 Bi 2.20-2.44
O: 0.5623 0.9394 0.5660  4 Bi 2.31-2.48
O: 0.5767 0.2547 0.5459  3 Bi 2.24-2.26
O: 0.6038 0.2358 0.9281  3 Bi 2.21-2.29
O: 0.6748 0.4710 0.7681  3 Bi 2.24-2.35
O: 0.6947 0.5204 0.0266  1 V 1.74
O: 0.6971 0.8575 0.2232  1 Bi 2.09
O: 0.7172 0.0837 0.7625  3 Bi 2.21-2.45
O: 0.7195 0.7441 0.7816  1 V 1.76
O: 0.7216 0.7537 0.0164  1 V 1.76
O: 0.7511 0.0835 0.3991  4 Bi 2.18-2.44
O: 0.7544 0.5185 0.3160  2 Bi 2.10-2.22
O: 0.8094 0.0988 0.1169  1 O 1.49
O: 0.8097 0.2257 0.1134  1 O 1.49
O: 0.8904 0.2730 0.6016  4 Bi 2.33-2.51
O: 0.8932 0.2581 0.3053  3 Bi 2.16-2.41
O: 0.9042 0.9893 0.9111  1 V 1.97
O: 0.9136 0.6113 0.3912  1 V 1.69
O: 0.9271 0.9512 0.5520  2 Bi 2.13-2.25
O: 0.9846 0.7968 0.4031  1 V 1.72